1.
VASP calculation (PBE) on a geometry-optimized Sb3As2S14I3F24 structure.

## Properties
Calculated density in Mg/m³: 2.91
MP2020-corrected energy in eV per atom: -4.4824
DFT formation energy in kJ/mol of formula units: -7338

abc: 8.4723 9.5462 13.4650
angles: 71.60 85.05 85.32
Space group P-1 (No. 2)
Unique sites:
Sb 0.0000 0.0000 0.0000 [1 per cell]
Sb 0.4683 0.2160 0.6646 [2 per cell]
As 0.4808 0.7696 0.9971 [2 per cell]
S 0.0359 0.5934 0.8647 [2 per cell]
S 0.0898 0.0661 0.3068 [2 per cell]
S 0.1014 0.4583 0.7896 [2 per cell]
S 0.1160 0.5448 0.3038 [2 per cell]
S 0.1282 0.8313 0.7556 [2 per cell]
S 0.1585 0.1800 0.3960 [2 per cell]
S 0.2579 0.3722 0.2906 [2 per cell]
I 0.0000 0.5000 0.5000 [1 per cell]
I 0.2837 0.7602 0.6252 [2 per cell]
F 0.0047 0.1840 0.0304 [2 per cell]
F 0.0396 0.8950 0.1435 [2 per cell]
F 0.2249 0.0012 0.9650 [2 per cell]
F 0.2437 0.1964 0.6916 [2 per cell]
F 0.3080 0.7622 0.3715 [2 per cell]
F 0.3467 0.6415 0.0775 [2 per cell]
F 0.3492 0.3544 0.9777 [2 per cell]
F 0.4383 0.4234 0.6470 [2 per cell]
F 0.4423 0.2530 0.5164 [2 per cell]
F 0.4422 0.7319 0.8802 [2 per cell]
F 0.4979 0.9913 0.3173 [2 per cell]
F 0.4989 0.1776 0.8109 [2 per cell]

***

2.
VASP calculation (PBE) on a geometry-optimized MgBi4O8 structure.

## Properties
Distance to the lowest polymorph of the same formula in eV/atom: 0.1304
Calculated density in Mg/m³: 6.67
MP2020-corrected energy in eV per atom: -5.9708
DFT formation energy in kJ/mol of formula units: -2014

abc: 6.3859 6.9758 6.9857
angles: 61.97 67.24 68.08
Space group P1 (No. 1)
Unique sites:
Mg 0.0000 0.0000 0.0000 [1 per cell]
Bi 0.0057 0.9748 0.4943 [1 per cell]
Bi 0.0176 0.4913 0.9736 [1 per cell]
Bi 0.4910 0.3802 0.3744 [1 per cell]
Bi 0.9102 0.4982 0.4985 [1 per cell]
O 0.0922 0.8234 0.8187 [1 per cell]
O 0.1212 0.7400 0.2765 [1 per cell]
O 0.1222 0.2777 0.7331 [1 per cell]
O 0.1704 0.3057 0.3002 [1 per cell]
O 0.7102 0.2441 0.6297 [1 per cell]
O 0.7216 0.6300 0.2385 [1 per cell]
O 0.7782 0.6932 0.6996 [1 per cell]
O 0.7886 0.1918 0.1892 [1 per cell]